# 1
The following is a DFT calculation (PBE) of crystalline U3Bi2O9 at its relaxed geometry.

Values from the calculation:
- crystal system = tetragonal
- MP2020-corrected energy (eV per cell) = -256.0

Structure (CIF):
```
data_U3Bi2O9
_cell_length_a 3.810
_cell_length_b 3.810
_cell_length_c 28.142
_cell_angle_alpha 90.00
_cell_angle_beta 90.00
_cell_angle_gamma 90.00
_symmetry_space_group_name_H-M 'I -4 m 2'
_symmetry_Int_Tables_number 119
_symmetry_space_group_name_Hall 'I -4 -2'
loop_
_atom_site_label
_atom_site_type_symbol
_atom_site_fract_x
_atom_site_fract_y
_atom_site_fract_z
_atom_site_occupancy
U1 U 0.000 0.000 0.000 1
U2 U 0.000 0.000 0.401 1
Bi1 Bi 0.000 0.000 0.201 1
O1 O 0.000 0.500 0.048 1
O2 O 0.000 0.500 0.143 1
O3 O 0.000 0.500 0.250 1
O4 O 0.000 0.500 0.546 1
O5 O 0.000 0.500 0.639 1
```



# 2
The following is a DFT calculation (PBE) of crystalline U2Bi18O31 at its relaxed geometry.

Values from the calculation:
- crystal system = triclinic
- MP2020-corrected energy (eV per cell) = -328.7

Structure (CIF):
```
data_U2Bi18O31
_cell_length_a 3.961
_cell_length_b 3.966
_cell_length_c 62.785
_cell_angle_alpha 91.77
_cell_angle_beta 90.02
_cell_angle_gamma 119.93
_symmetry_space_group_name_H-M 'P 1'
_symmetry_Int_Tables_number 1
loop_
_symmetry_equiv_pos_as_xyz
'x,y,z'
loop_
_atom_site_label
_atom_site_type_symbol
_atom_site_fract_x
_atom_site_fract_y
_atom_site_fract_z
_atom_site_occupancy
U1 U 0.000 0.000 0.000 1
U2 U 0.347 0.694 0.048 1
Bi1 Bi 0.044 0.086 0.138 1
Bi2 Bi 0.097 0.192 0.298 1
Bi3 Bi 0.145 0.289 0.442 1
Bi4 Bi 0.198 0.395 0.601 1
Bi5 Bi 0.247 0.492 0.747 1
Bi6 Bi 0.296 0.590 0.894 1
Bi7 Bi 0.396 0.790 0.194 1
Bi8 Bi 0.445 0.889 0.342 1
Bi9 Bi 0.496 0.991 0.496 1
Bi10 Bi 0.547 0.093 0.649 1
Bi11 Bi 0.597 0.192 0.796 1
Bi12 Bi 0.646 0.289 0.943 1
Bi13 Bi 0.697 0.391 0.097 1
Bi14 Bi 0.748 0.494 0.250 1
Bi15 Bi 0.794 0.586 0.388 1
Bi16 Bi 0.847 0.691 0.546 1
Bi17 Bi 0.897 0.793 0.699 1
Bi18 Bi 0.946 0.891 0.846 1
O1 O 0.010 0.020 0.036 1
O2 O 0.062 0.123 0.193 1
O3 O 0.109 0.218 0.334 1
O4 O 0.156 0.311 0.476 1
O5 O 0.210 0.419 0.638 1
O6 O 0.235 0.469 0.713 1
O7 O 0.259 0.516 0.782 1
O8 O 0.283 0.564 0.855 1
O9 O 0.310 0.619 0.937 1
O10 O 0.335 0.668 0.014 1
O11 O 0.359 0.717 0.083 1
O12 O 0.407 0.812 0.228 1
O13 O 0.463 0.926 0.397 1
O14 O 0.511 0.020 0.539 1
O15 O 0.535 0.069 0.613 1
O16 O 0.559 0.117 0.684 1
O17 O 0.583 0.165 0.756 1
O18 O 0.610 0.219 0.837 1
O19 O 0.634 0.266 0.909 1
O20 O 0.661 0.320 0.995 1
O21 O 0.685 0.368 0.059 1
O22 O 0.712 0.423 0.143 1
O23 O 0.761 0.519 0.287 1
O24 O 0.812 0.623 0.443 1
O25 O 0.833 0.665 0.507 1
O26 O 0.858 0.715 0.581 1
O27 O 0.883 0.766 0.657 1
O28 O 0.910 0.820 0.738 1
O29 O 0.935 0.868 0.811 1
O30 O 0.958 0.915 0.880 1
O31 O 0.987 0.971 0.970 1
```



# 3
The following is a DFT calculation (PBE) of crystalline UBiO5 at its relaxed geometry.

Values from the calculation:
- crystal system = monoclinic
- MP2020-corrected energy (eV per cell) = -230.6

Structure (CIF):
```
data_UBiO5
_cell_length_a 7.503
_cell_length_b 7.991
_cell_length_c 10.421
_cell_angle_alpha 90.00
_cell_angle_beta 133.15
_cell_angle_gamma 90.00
_symmetry_space_group_name_H-M 'P 1 21/c 1'
_symmetry_Int_Tables_number 14
loop_
_symmetry_equiv_pos_as_xyz
'x,y,z'
'-x,-y,-z'
'-x,y+1/2,-z+1/2'
'x,-y+1/2,z+1/2'
loop_
_atom_site_label
_atom_site_type_symbol
_atom_site_fract_x
_atom_site_fract_y
_atom_site_fract_z
_atom_site_occupancy
U1 U 0.158 0.002 0.314 1
Bi1 Bi 0.430 0.115 0.821 1
O1 O 0.057 0.238 0.695 1
O2 O 0.137 0.096 0.466 1
O3 O 0.212 0.602 0.683 1
O4 O 0.261 0.003 0.912 1
O5 O 0.478 0.646 0.053 1
```



Computed DFT formation energy, in the same sequence as the records: -2988; -1622; -2533 meV per atom.